This record from Materials Project describes a relaxed structure of GeBr4. The functional is r2SCAN.

a = 11.317 Å, b = 11.317 Å, c = 11.317 Å
α = 90.00°, β = 90.00°, γ = 90.00°
Sites, in units of the cell vectors:
Ge (0.131, 0.131, 0.131)
Ge (0.131, 0.369, 0.631)
Ge (0.369, 0.631, 0.131)
Ge (0.369, 0.869, 0.631)
Ge (0.631, 0.131, 0.369)
Ge (0.631, 0.369, 0.869)
Ge (0.869, 0.631, 0.369)
Ge (0.869, 0.869, 0.869)
Br (0.007, 0.248, 0.023)
Br (0.007, 0.252, 0.523)
Br (0.023, 0.007, 0.248)
Br (0.023, 0.493, 0.748)
Br (0.247, 0.247, 0.247)
Br (0.247, 0.253, 0.747)
Br (0.248, 0.023, 0.007)
Br (0.248, 0.477, 0.507)
Br (0.252, 0.523, 0.007)
Br (0.252, 0.977, 0.507)
Br (0.253, 0.747, 0.247)
Br (0.253, 0.753, 0.747)
Br (0.477, 0.507, 0.248)
Br (0.477, 0.993, 0.748)
Br (0.493, 0.748, 0.023)
Br (0.493, 0.752, 0.523)
Br (0.507, 0.248, 0.477)
Br (0.507, 0.252, 0.977)
Br (0.523, 0.007, 0.252)
Br (0.523, 0.493, 0.752)
Br (0.747, 0.247, 0.253)
Br (0.747, 0.253, 0.753)
Br (0.748, 0.023, 0.493)
Br (0.748, 0.477, 0.993)
Br (0.752, 0.523, 0.493)
Br (0.752, 0.977, 0.993)
Br (0.753, 0.747, 0.253)
Br (0.753, 0.753, 0.753)
Br (0.977, 0.507, 0.252)
Br (0.977, 0.993, 0.752)
Br (0.993, 0.748, 0.477)
Br (0.993, 0.752, 0.977)

## Properties
energy of formation from the pure elements = -0.702 eV per atom